(1)
Here is Y4Zr3O12 after structural relaxation from the Materials Project. Energies are from PBE.

Output
Distance to the lowest polymorph of the same formula (meV per atom): 8
Energy of formation from the pure elements (eV/atom): -3.916
Calculated density (kg/m³): 5312

a b c (Å): 6.448 6.449 6.458
angles (deg): 98.77 99.29 99.66
Space group P1 (No. 1)
Unique sites:
Y1 0.000 0.000 0.000
Y2 0.090 0.252 0.553
Y3 0.391 0.780 0.723
Y4 0.557 0.079 0.254
Zr1 0.311 0.529 0.165
Zr2 0.701 0.393 0.861
Zr3 0.838 0.699 0.471
O1 0.018 0.353 0.953
O2 0.104 0.950 0.678
O3 0.113 0.574 0.420
O4 0.272 0.227 0.275
O5 0.277 0.809 0.048
O6 0.379 0.445 0.801
O7 0.519 0.783 0.423
O8 0.624 0.079 0.917
O9 0.642 0.484 0.180
O10 0.754 0.320 0.546
O11 0.771 0.706 0.785
O12 0.875 0.955 0.298



(2)
Here is Cs3Bi2I9 after structural relaxation from the Materials Project. Energies are from PBE.

Output
Energy of formation from the pure elements (eV/atom): -1.215
Calculated density (kg/m³): 4556

a b c (Å): 8.670 14.969 22.010
angles (deg): 90.00 91.10 90.00
Space group C2/c (No. 15)
Unique sites:
Cs1 0.000 0.003 0.250
Cs2 0.001 0.332 0.577
Bi1 0.011 0.335 0.156
I1 0.000 0.497 0.750
I2 0.020 0.166 0.083
I3 0.231 0.079 0.911
I4 0.231 0.417 0.425
I5 0.248 0.248 0.743



(3)
Here is HoTe3 after structural relaxation from the Materials Project. Energies are from PBE.

Output
Energy of formation from the pure elements (eV/atom): -0.857
Calculated density (kg/m³): 7027

a b c (Å): 3.958 28.126 4.651
angles (deg): 90.00 90.00 90.00
Space group Cmcm (No. 63)
Unique sites:
Ho1 0.000 0.050 0.250
Te1 0.000 0.162 0.250
Te2 0.000 0.315 0.250
Te3 0.000 0.448 0.250



(4)
Here is Zn3Cr8FeSe16 after structural relaxation from the Materials Project. Energies are from PBE.

Output
Energy of formation from the pure elements (eV/atom): -0.811
Calculated density (kg/m³): 5422

a b c (Å): 7.4782 7.4782 36.6433
angles (deg): 90.00 90.00 120.00
Space group R3m (No. 160, hexagonal axes)
Unique sites:
Zn1 0.0000 0.0000 0.0000
Zn2 0.0000 0.0000 0.1250
Zn3 0.0000 0.0000 0.6250
Cr1 0.0000 0.0000 0.3125
Cr2 0.0000 0.0000 0.8123
Cr3 0.9997 0.4999 0.0624
Cr4 0.9999 0.5000 0.5626
Fe1 0.0000 0.0000 0.4999
Se1 0.0000 0.0000 0.1926
Se2 0.0000 0.0000 0.4332
Se3 0.0000 0.0000 0.6926
Se4 0.0000 0.0000 0.9322
Se5 0.0276 0.5138 0.4357
Se6 0.0276 0.5138 0.9358
Se7 0.1784 0.3568 0.5223
Se8 0.1806 0.3612 0.0226



(5)
Here is NbPHO5 after structural relaxation from the Materials Project. Energies are from PBE.

Output
Distance to the lowest polymorph of the same formula (meV per atom): 0
Energy of formation from the pure elements (eV/atom): -2.486
Calculated density (kg/m³): 3433

a b c (Å): 5.367 5.451 7.701
angles (deg): 109.70 105.63 97.42
Space group P-1 (No. 2)
Unique sites:
Nb1 0.000 0.000 0.000
Nb2 0.500 0.500 0.500
P1 0.056 0.376 0.728
H1 0.471 0.811 0.834
O1 0.118 0.193 0.841
O2 0.154 0.676 0.876
O3 0.201 0.330 0.577
O4 0.249 0.689 0.378
O5 0.379 0.187 0.218



(6)
Here is LiCu4P3O12 after structural relaxation from the Materials Project. Energies are from PBE.

Output
Distance to the lowest polymorph of the same formula (meV per atom): 54
Energy of formation from the pure elements (eV/atom): -1.904
Calculated density (kg/m³): 3795

a b c (Å): 9.640 15.966 6.210
angles (deg): 90.00 90.00 90.00
Space group Pnnm (No. 58)
Unique sites:
Li1 0.223 0.030 0.000
Cu1 0.028 0.151 0.500
Cu2 0.040 0.596 0.000
Cu3 0.249 0.804 0.249
P1 0.040 0.216 0.000
P2 0.046 0.660 0.500
P3 0.209 0.971 0.500
O1 0.099 0.175 0.203
O2 0.099 0.614 0.301
O3 0.106 0.309 0.000
O4 0.109 0.754 0.500
O5 0.115 0.329 0.500
O6 0.121 0.775 0.000
O7 0.131 0.486 0.000
O8 0.138 0.055 0.500
O9 0.170 0.921 0.293



(7)
Here is K2PH3SO8 after structural relaxation from the Materials Project. Energies are from PBE.

Output
Energy of formation from the pure elements (eV/atom): -2.084
Calculated density (kg/m³): 2220

a b c (Å): 7.511 9.638 11.265
angles (deg): 88.57 88.11 88.55
Space group P-1 (No. 2)
Unique sites:
K1 0.189 0.104 0.197
K2 0.198 0.599 0.697
K3 0.299 0.091 0.700
K4 0.304 0.592 0.199
P1 0.290 0.338 0.424
P2 0.305 0.834 0.923
H1 0.000 0.000 0.500
H2 0.000 0.500 0.000
H3 0.063 0.332 0.557
H4 0.079 0.834 0.055
H5 0.479 0.328 0.058
H6 0.497 0.826 0.563
H7 0.500 0.000 0.000
H8 0.500 0.500 0.500
S1 0.198 0.330 0.927
S2 0.209 0.833 0.427
O1 0.044 0.436 0.912
O2 0.051 0.938 0.413
O3 0.124 0.188 0.924
O4 0.136 0.691 0.420
O5 0.159 0.356 0.326
O6 0.174 0.846 0.826
O7 0.197 0.352 0.552
O8 0.212 0.853 0.052
O9 0.274 0.353 0.046
O10 0.285 0.853 0.546
O11 0.329 0.351 0.829
O12 0.338 0.858 0.329
O13 0.372 0.183 0.420
O14 0.389 0.680 0.925
O15 0.447 0.438 0.417
O16 0.460 0.936 0.914



(8)
Here is ZnSiGe3S5O24 after structural relaxation from the Materials Project. Energies are from PBE.

Output
Energy of formation from the pure elements (eV/atom): -1.882
Calculated density (kg/m³): 3140

a b c (Å): 8.450 8.460 21.857
angles (deg): 89.59 89.85 60.31
Space group P1 (No. 1)
Unique sites:
Zn1 0.000 0.000 0.000
Zn2 0.009 0.999 0.496
Zn3 0.332 0.334 0.828
Si1 0.291 0.003 0.599
Si2 0.667 0.382 0.268
Si3 0.953 0.667 0.268
Ge1 0.004 0.006 0.699
Ge2 0.332 0.345 0.325
Ge3 0.333 0.325 0.537
Ge4 0.333 0.336 0.038
Ge5 0.660 0.674 0.661
Ge6 0.666 0.669 0.872
Ge7 0.673 0.657 0.169
Ge8 0.680 0.660 0.369
Ge9 0.990 0.004 0.212
S1 0.001 0.708 0.601
S2 0.040 0.625 0.933
S3 0.045 0.340 0.432
S4 0.297 0.709 0.101
S5 0.337 0.041 0.933
S6 0.339 0.618 0.434
S7 0.376 0.673 0.767
S8 0.379 0.956 0.268
S9 0.618 0.043 0.432
S10 0.623 0.338 0.933
S11 0.676 0.953 0.766
S12 0.702 0.999 0.101
S13 0.705 0.296 0.601
S14 0.947 0.380 0.766
S15 0.999 0.295 0.101
O1 0.016 0.804 0.942
O2 0.021 0.184 0.438
O3 0.035 0.788 0.659
O4 0.039 0.177 0.156
O5 0.118 0.505 0.990
O6 0.123 0.379 0.489
O7 0.125 0.362 0.772
O8 0.145 0.484 0.278
O9 0.149 0.544 0.879
O10 0.163 0.049 0.663
O11 0.165 0.306 0.379
O12 0.168 0.529 0.595
O13 0.169 0.314 0.094
O14 0.175 0.792 0.439
O15 0.180 0.788 0.156
O16 0.182 0.017 0.942
O17 0.194 0.839 0.760
O18 0.198 0.972 0.258
O19 0.213 0.955 0.542
O20 0.222 0.814 0.046
O21 0.309 0.151 0.878
O22 0.309 0.530 0.380
O23 0.314 0.184 0.592
O24 0.316 0.520 0.095
O25 0.359 0.512 0.774
O26 0.360 0.136 0.276
O27 0.377 0.499 0.491
O28 0.378 0.120 0.990
O29 0.452 0.839 0.323
O30 0.455 0.713 0.823
O31 0.479 0.692 0.109
O32 0.491 0.827 0.613
O33 0.494 0.881 0.212
O34 0.497 0.348 0.278
O35 0.497 0.638 0.713
O36 0.502 0.123 0.489
O37 0.503 0.379 0.990
O38 0.505 0.635 0.428
O39 0.510 0.857 0.927
O40 0.516 0.130 0.773
O41 0.517 0.170 0.093
O42 0.519 0.323 0.595
O43 0.531 0.161 0.378
O44 0.541 0.311 0.879
O45 0.614 0.510 0.207
O46 0.624 0.864 0.427
O47 0.635 0.511 0.927
O48 0.643 0.866 0.713
O49 0.674 0.841 0.111
O50 0.696 0.473 0.613
O51 0.706 0.467 0.329
O52 0.714 0.836 0.823
O53 0.779 0.175 0.658
O54 0.782 0.040 0.155
O55 0.796 0.026 0.440
O56 0.802 0.184 0.943
O57 0.811 0.965 0.046
O58 0.816 0.221 0.548
O59 0.821 0.722 0.328
O60 0.830 0.461 0.823
O61 0.837 0.479 0.108
O62 0.843 0.679 0.613
O63 0.845 0.966 0.758
O64 0.851 0.191 0.257
O65 0.855 0.636 0.927
O66 0.862 0.499 0.711
O67 0.865 0.512 0.428
O68 0.868 0.632 0.206
O69 0.953 0.202 0.761
O70 0.953 0.823 0.548
O71 0.967 0.220 0.046
O72 0.985 0.838 0.257